[1]
{
  "formula": "MgV4W2O12",
  "functional": "PBE with a Hubbard U",
  "state": "optimized geometry",
  "cell": [[4.876, 0.000, 0.000], [0.000, 4.876, 0.000], [0.000, 0.000, 9.079]],
  "species": ["Mg", "V", "V", "V", "V", "W", "W", "O", "O", "O", "O", "O", "O", "O", "O", "O", "O", "O", "O"],
  "fractional_positions": [[0.000, 0.000, 0.000], [0.000, 0.500, 0.096], [0.000, 0.500, 0.416], [0.500, 0.000, 0.584], [0.500, 0.000, 0.904], [0.000, 0.500, 0.740], [0.500, 0.000, 0.260], [0.191, 0.696, 0.915], [0.202, 0.705, 0.249], [0.204, 0.703, 0.590], [0.295, 0.202, 0.751], [0.297, 0.204, 0.410], [0.304, 0.191, 0.085], [0.696, 0.809, 0.085], [0.703, 0.796, 0.410], [0.705, 0.798, 0.751], [0.796, 0.297, 0.590], [0.798, 0.295, 0.249], [0.809, 0.304, 0.915]],
  "formation_enthalpy_0k_mev_per_atom": -2330,
  "total_magnetization_mub_per_atom": 0.526,
  "energy_ha_per_atom": -0.27769
}

=====

[2]
{
  "formula": "Sr7W4O19",
  "functional": "PBE with a Hubbard U",
  "state": "optimized geometry",
  "cell": [[6.969, -2.840, 0.000], [6.969, 2.840, 0.000], [-1.495, 0.000, 10.488]],
  "species": ["Sr", "Sr", "Sr", "Sr", "Sr", "Sr", "Sr", "W", "W", "W", "W", "O", "O", "O", "O", "O", "O", "O", "O", "O", "O", "O", "O", "O", "O", "O", "O", "O", "O", "O"],
  "fractional_positions": [[0.000, 0.000, 0.000], [0.083, 0.083, 0.661], [0.290, 0.290, 0.913], [0.359, 0.359, 0.546], [0.641, 0.641, 0.454], [0.710, 0.710, 0.087], [0.917, 0.917, 0.339], [0.173, 0.173, 0.282], [0.465, 0.465, 0.181], [0.535, 0.535, 0.819], [0.827, 0.827, 0.718], [0.015, 0.500, 0.346], [0.100, 0.100, 0.429], [0.132, 0.625, 0.130], [0.187, 0.670, 0.785], [0.195, 0.195, 0.110], [0.330, 0.813, 0.215], [0.375, 0.868, 0.870], [0.454, 0.454, 0.357], [0.500, 0.015, 0.346], [0.500, 0.500, 0.000], [0.500, 0.985, 0.654], [0.546, 0.546, 0.643], [0.625, 0.132, 0.130], [0.670, 0.187, 0.785], [0.805, 0.805, 0.890], [0.813, 0.330, 0.215], [0.868, 0.375, 0.870], [0.900, 0.900, 0.571], [0.985, 0.500, 0.654]],
  "formation_enthalpy_0k_mev_per_atom": -2876,
  "energy_ha_per_atom": -0.26111
}

=====

[3]
{
  "formula": "NiS2O12",
  "functional": "PBE with a Hubbard U",
  "state": "optimized geometry",
  "cell": [[6.466, 0.000, 0.000], [-0.086, 6.800, 0.000], [-1.289, -1.668, 7.485]],
  "species": ["Ni", "S", "S", "O", "O", "O", "O", "O", "O", "O", "O", "O", "O", "O", "O"],
  "fractional_positions": [[0.000, 0.000, 0.000], [0.215, 0.605, 0.447], [0.785, 0.395, 0.553], [0.001, 0.034, 0.225], [0.100, 0.594, 0.907], [0.236, 0.741, 0.330], [0.273, 0.900, 0.019], [0.277, 0.691, 0.962], [0.363, 0.627, 0.612], [0.637, 0.373, 0.388], [0.723, 0.309, 0.038], [0.727, 0.100, 0.981], [0.764, 0.259, 0.670], [0.900, 0.406, 0.093], [0.999, 0.966, 0.775]],
  "formation_enthalpy_0k_mev_per_atom": -108,
  "total_magnetization_mub_per_atom": 0.133,
  "polymorph_energy_ev_per_atom": 0.353,
  "energy_ha_per_atom": -0.17763
}

=====

[4]
{
  "formula": "TaWO7",
  "functional": "PBE with a Hubbard U",
  "state": "optimized geometry",
  "cell": [[-3.708, 3.728, 5.243], [3.708, -3.728, 5.243], [3.708, 3.728, -5.243]],
  "species": ["Ta", "Ta", "W", "W", "O", "O", "O", "O", "O", "O", "O", "O", "O", "O", "O", "O", "O", "O"],
  "fractional_positions": [[0.000, 0.000, 0.000], [0.500, 0.000, 0.500], [0.500, 0.000, 0.000], [0.500, 0.500, 0.500], [0.124, 0.374, 0.750], [0.189, 0.939, 0.250], [0.196, 0.314, 0.257], [0.196, 0.939, 0.882], [0.443, 0.061, 0.757], [0.443, 0.686, 0.382], [0.443, 0.693, 0.750], [0.557, 0.307, 0.250], [0.557, 0.314, 0.618], [0.557, 0.939, 0.243], [0.804, 0.061, 0.118], [0.804, 0.686, 0.743], [0.811, 0.061, 0.750], [0.876, 0.626, 0.250]],
  "formation_enthalpy_0k_mev_per_atom": -1917,
  "total_magnetization_mub_per_atom": 0.333,
  "energy_ha_per_atom": -0.27546
}